# 1
Entry from the Materials Project database: Sr2YCoCu2O7 after structural relaxation (PBE with a Hubbard U).

Geometry as POSCAR:
```
Sr2YCoCu2O7
1.0
5.3131 -0.0160 -1.2630
-0.2791 5.3125 -1.3500
0.0868 0.2517 12.2127
O Sr Y Cu Co
14 4 2 4 2
Cartesian
4.2428 1.6809 0.0667 O
4.2799 2.0224 6.4131 O
3.5438 3.8667 8.9200 O
1.0047 1.2054 10.1624 O
0.8780 3.8673 9.5330 O
3.6678 1.1973 9.5347 O
4.1850 4.5514 3.9455 O
1.6077 4.3876 6.4171 O
0.9358 0.9968 5.6541 O
1.5770 1.6815 0.6796 O
4.1161 4.3428 -0.5628 O
3.5131 1.1606 3.1826 O
0.8409 3.5258 3.1865 O
1.4530 4.3509 0.0649 O
4.2883 4.6071 6.3337 Sr
0.8325 0.9411 3.2660 Sr
1.8630 2.0922 7.5672 Sr
3.2578 3.4560 2.0324 Sr
0.0000 0.0000 0.0000 Y
2.5170 2.6483 -1.3065 Y
2.0721 5.1310 8.6252 Cu
4.8831 2.4670 8.6969 Cu
3.0487 0.4172 0.9745 Cu
0.2377 3.0812 0.9028 Cu
4.3315 1.1381 4.8165 Co
0.7893 4.4101 4.7832 Co
```

- MP2020-corrected energy (eV/atom) = -6.885
- energy relative to the elements (kJ per mole of atoms) = -221
- E (eV per formula unit) = -83.06
- SG = P-1

---

# 2
Entry from the Materials Project database: Li3V3P8O29 after structural relaxation (PBE with a Hubbard U).

Geometry as POSCAR:
```
Li3V3P8O29
1.0
-0.7572 -9.1299 3.4113
-7.3831 3.9346 -5.0772
5.8451 -4.8055 -12.2846
O P V Li
58 16 6 6
Cartesian
-3.0822 -4.4527 -11.1643 O
3.9567 -6.7815 -9.4739 O
3.4583 -5.8140 -11.8058 O
-4.4808 -5.5955 -9.3612 O
-3.5927 -7.3895 -4.3127 O
1.6168 -6.8329 -10.3916 O
-0.5591 -8.2279 -11.0522 O
-1.4397 0.5272 -2.0318 O
-3.8810 -3.1727 -3.5804 O
-0.1076 -7.4146 -8.4963 O
-1.8793 -4.1700 -2.0323 O
-4.5471 1.3343 -5.5202 O
-1.7073 -1.7983 -2.9011 O
0.8841 -9.3383 -7.2450 O
-3.7175 -6.0064 -6.4546 O
3.6016 -10.7571 -6.4252 O
0.7994 -5.5475 -2.7899 O
-0.9225 -10.5882 -11.9178 O
-2.5499 -7.5019 -13.6538 O
-5.7711 -4.1726 -2.2053 O
0.1641 -4.8670 -9.4738 O
-1.4535 -0.5634 -13.2846 O
2.2963 -11.3851 -8.4434 O
-6.2245 -3.1986 -4.5016 O
-0.2264 -3.7204 -4.1553 O
-3.1710 -0.6540 -6.7304 O
-2.7551 -4.8757 0.2342 O
-4.5121 -2.8131 -6.5713 O
-5.9319 -0.7677 -5.4828 O
2.2047 -7.1795 -7.4111 O
0.4631 -5.2343 -14.1166 O
0.7778 -1.1628 -6.3671 O
-0.8441 -6.1524 -0.8443 O
-3.0043 -8.8203 -7.6080 O
-0.8407 -9.4256 -0.6550 O
2.2081 -4.3444 -4.5324 O
0.0632 -7.2393 -6.0008 O
-4.9603 -5.3156 -4.3440 O
-2.4215 -5.1611 -4.4733 O
1.5246 -4.0191 -7.5097 O
-2.0969 -6.3137 -9.7097 O
2.6818 -4.6507 -9.6991 O
0.9097 -3.6468 -12.1592 O
-0.6643 -1.6714 -11.1474 O
-0.4686 -5.7777 -11.8468 O
-3.1279 -6.3879 -1.8325 O
-2.2246 -2.6117 -5.4905 O
-1.4425 -3.8269 -13.0958 O
0.2216 -10.1912 -9.6398 O
-3.0612 -1.9087 -11.9358 O
3.6210 -9.2168 -8.4479 O
-2.5474 0.1567 -4.2892 O
0.2738 -2.4668 -0.2558 O
-5.9222 0.7864 -7.4935 O
1.2902 -2.6238 -9.6697 O
-1.6498 -8.3545 -2.7830 O
0.7455 -8.0649 -1.9897 O
-2.4312 -2.7791 -8.0141 O
2.9625 -6.0545 -10.4171 P
-1.4688 -0.2965 -3.2667 P
-3.6435 -5.9956 -4.9553 P
-0.0727 -4.6284 -12.8757 P
1.3704 -4.0054 -8.9752 P
-5.2301 -3.9283 -3.5550 P
0.7639 -7.7475 -7.2042 P
-3.0843 -2.2181 -6.8061 P
-0.8251 -9.7440 -10.7221 P
3.6457 -10.7347 -8.0441 P
-2.2284 -5.3538 -1.0683 P
-1.8830 -0.9073 -11.7769 P
-0.4062 -9.1096 -2.2011 P
-3.4037 -5.7481 -10.3605 P
1.1179 -4.2317 -3.5459 P
-5.9311 0.7525 -5.8704 P
0.4023 -10.9605 -7.9648 V
0.9395 -6.3446 -1.0928 V
-2.7207 1.0146 -5.9492 V
-0.2241 -6.5564 -10.1548 V
-3.2524 -3.6431 -12.8450 V
-2.0331 -3.4281 -3.8888 V
-2.5034 -7.0190 -7.5634 Li
-0.7745 -7.9415 -13.2232 Li
2.4008 -5.0837 -6.2192 Li
3.1848 -4.0616 -12.8770 Li
-1.5177 -2.3184 -0.8151 Li
-4.7943 -4.7778 -7.6418 Li
```

- MP2020-corrected energy (eV/atom) = -7.629
- energy relative to the elements (kJ per mole of atoms) = -243
- E (eV per formula unit) = -303.03
- SG = P1

---

# 3
Entry from the Materials Project database: BaIn8Ni2O15 after structural relaxation (PBE with a Hubbard U).

Geometry as POSCAR:
```
BaIn8Ni2O15
1.0
0.2147 1.5681 8.2343
6.9027 -4.7581 -0.1452
5.6088 8.1889 -1.7057
O In Ni Ba
30 16 4 2
Cartesian
9.8542 0.8949 7.1895 O
8.0511 3.5428 -0.8033 O
5.2580 2.5264 -0.0964 O
6.1512 -3.1070 4.8697 O
10.8176 1.8108 0.4112 O
4.7569 6.6588 3.3241 O
5.8589 6.5012 6.6240 O
7.5774 5.0917 4.5922 O
4.4257 -1.4749 7.0315 O
5.1122 -0.1798 1.8252 O
6.6518 4.8017 1.6840 O
2.2599 1.4188 0.7326 O
7.4124 2.5379 6.3858 O
9.1933 6.5425 2.3983 O
9.1379 0.9058 4.2240 O
8.0675 0.8997 1.0830 O
7.9603 -1.7926 3.0148 O
8.3986 6.4702 -0.5672 O
3.3829 1.4559 3.9918 O
1.8991 -0.0228 6.1029 O
3.5325 4.1586 2.0655 O
4.6848 4.0993 5.3212 O
1.8371 3.1176 5.9710 O
9.3049 3.4577 2.4279 O
6.7977 -1.5745 -0.2441 O
6.0982 0.1982 4.7177 O
10.4547 3.5971 5.6288 O
5.2045 -3.1493 1.9616 O
6.6730 8.1024 1.5948 O
4.5666 1.4175 7.2668 O
6.1632 0.5951 0.0769 In
3.6397 3.3620 7.1920 In
8.5762 -1.3075 1.0070 In
4.1244 0.1801 5.5839 In
8.6355 4.8100 0.8395 In
11.4503 3.4939 1.6474 In
4.1215 6.3230 5.3347 In
9.0534 1.6580 -0.8445 In
2.9883 0.1479 2.2735 In
7.9395 6.8147 6.0460 In
2.9858 3.6005 4.0578 In
6.8840 6.4667 3.0339 In
5.8805 -1.4810 3.3837 In
9.7269 4.8816 4.0781 In
7.8305 0.3802 5.9628 In
4.9335 4.6275 0.4441 In
9.7826 1.3616 2.2562 Ni
6.5106 4.4566 6.3557 Ni
4.7503 -1.7702 0.4050 Ni
1.3343 1.4610 4.6849 Ni
6.6602 2.5736 3.3729 Ba
7.0375 -2.9469 7.8419 Ba
```

- MP2020-corrected energy (eV/atom) = -6.151
- energy relative to the elements (kJ per mole of atoms) = -186
- E (eV per formula unit) = -144.54
- SG = Cmc2_1

---

> Look up the MP2020-corrected energy of the third one.

-6.151 eV/atom

---

> Which value of energy relative to the elements does entry 3 give?

-186 kJ per mole of atoms